[1]
# PBE+U NaVO3, relaxed
data_NaVO3
_cell_length_a 3.774
_cell_length_b 3.774
_cell_length_c 3.774
_cell_angle_alpha 90.00
_cell_angle_beta 90.00
_cell_angle_gamma 90.00
_space_group_name_H-M_alt 'P m -3 m'
_space_group_IT_number 221
_space_group_name_Hall '-P 4 2 3'
loop_
_atom_site_label
_atom_site_type_symbol
_atom_site_fract_x
_atom_site_fract_y
_atom_site_fract_z
Na1 Na 0.000 0.000 0.000
V1 V 0.500 0.500 0.500
O1 O 0.000 0.500 0.500
# **DFT formation energy**: -11.2 eV/f.u.


[2]
# PBE+U NaV6O13, relaxed
data_NaV6O13
_cell_length_a 3.752
_cell_length_b 11.536
_cell_length_c 12.120
_cell_angle_alpha 111.23
_cell_angle_beta 90.08
_cell_angle_gamma 99.36
_space_group_name_H-M_alt 'P 1'
_space_group_IT_number 1
loop_
_space_group_symop_operation_xyz
'x,y,z'
loop_
_atom_site_label
_atom_site_type_symbol
_atom_site_fract_x
_atom_site_fract_y
_atom_site_fract_z
Na1 Na 0.000 0.000 0.000
Na2 Na 0.348 0.695 0.438
V1 V 0.099 0.205 0.434
V2 V 0.126 0.244 0.759
V3 V 0.221 0.450 0.676
V4 V 0.242 0.489 0.003
V5 V 0.400 0.799 0.797
V6 V 0.419 0.835 0.113
V7 V 0.599 0.204 0.234
V8 V 0.609 0.221 0.945
V9 V 0.734 0.473 0.490
V10 V 0.743 0.489 0.202
V11 V 0.945 0.897 0.645
V12 V 0.949 0.860 0.330
O1 O 0.021 0.044 0.393
O2 O 0.026 0.055 0.692
O3 O 0.107 0.221 0.274
O4 O 0.129 0.264 0.610
O5 O 0.132 0.268 0.936
O6 O 0.210 0.426 0.499
O7 O 0.212 0.428 0.826
O8 O 0.234 0.472 0.163
O9 O 0.320 0.643 0.745
O10 O 0.324 0.649 0.043
O11 O 0.419 0.844 0.289
O12 O 0.421 0.846 0.653
O13 O 0.423 0.844 0.953
O14 O 0.520 0.046 0.164
O15 O 0.532 0.065 0.908
O16 O 0.617 0.235 0.784
O17 O 0.619 0.245 0.412
O18 O 0.628 0.261 0.117
O19 O 0.713 0.432 0.319
O20 O 0.722 0.448 0.024
O21 O 0.728 0.461 0.651
O22 O 0.813 0.629 0.526
O23 O 0.825 0.648 0.272
O24 O 0.918 0.850 0.473
O25 O 0.921 0.842 0.786
O26 O 0.926 0.852 0.147
# **DFT formation energy**: -48.2 eV/f.u.
# **Relative energy among the computed polymorphs**: 0 meV/atom


[3]
# PBE+U NaV2O5, relaxed
data_NaV2O5
_cell_length_a 7.291
_cell_length_b 19.990
_cell_length_c 12.076
_cell_angle_alpha 90.00
_cell_angle_beta 107.53
_cell_angle_gamma 90.00
_space_group_name_H-M_alt 'C 1 2/c 1'
_space_group_IT_number 15
loop_
_space_group_symop_operation_xyz
'x,y,z'
'-x,-y,-z'
'-x,y,-z+1/2'
'x,-y,z+1/2'
'x+1/2,y+1/2,z'
'-x+1/2,-y+1/2,-z'
'-x+1/2,y+1/2,-z+1/2'
'x+1/2,-y+1/2,z+1/2'
loop_
_atom_site_label
_atom_site_type_symbol
_atom_site_fract_x
_atom_site_fract_y
_atom_site_fract_z
Na1 Na 0.000 0.089 0.250
Na2 Na 0.000 0.160 0.750
Na3 Na 0.000 0.339 0.250
Na4 Na 0.000 0.410 0.750
V1 V 0.173 0.031 0.595
V2 V 0.173 0.280 0.596
V3 V 0.176 0.225 0.101
V4 V 0.176 0.476 0.102
O1 O 0.085 0.254 0.428
O2 O 0.087 0.499 0.929
O3 O 0.092 0.003 0.427
O4 O 0.093 0.248 0.929
O5 O 0.181 0.144 0.116
O6 O 0.183 0.113 0.619
O7 O 0.184 0.394 0.116
O8 O 0.185 0.362 0.618
O9 O 0.247 0.494 0.748
O10 O 0.250 0.244 0.754
# **DFT formation energy**: -19.3 eV/f.u.
# **Relative energy among the computed polymorphs**: 2 meV/atom


[4]
# PBE+U NaVZnO4, relaxed
data_NaVZnO4
_cell_length_a 18.6651
_cell_length_b 18.6651
_cell_length_c 8.2803
_cell_angle_alpha 90.00
_cell_angle_beta 90.00
_cell_angle_gamma 120.00
_space_group_name_H-M_alt 'P 63'
_space_group_IT_number 173
loop_
_space_group_symop_operation_xyz
'x,y,z'
'x-y,x,z+1/2'
'-y,x-y,z'
'-x,-y,z+1/2'
'-x+y,-x,z'
'y,-x+y,z+1/2'
loop_
_atom_site_label
_atom_site_type_symbol
_atom_site_fract_x
_atom_site_fract_y
_atom_site_fract_z
Na1 Na 0.0000 0.0000 0.4790
Na2 Na 0.0012 0.4799 0.4918
Na3 Na 0.1419 0.8078 0.9900
Na4 Na 0.1465 0.3307 0.5000
Na5 Na 0.3333 0.6667 0.0084
Na6 Na 0.3333 0.6667 0.5123
V1 V 0.0035 0.6721 0.2636
V2 V 0.0142 0.1749 0.1942
V3 V 0.1611 0.6504 0.7167
V4 V 0.1746 0.4951 0.2181
Zn1 Zn 0.9996 0.3352 0.2037
Zn2 Zn 0.0129 0.1683 0.7875
Zn3 Zn 0.1631 0.6578 0.3061
Zn4 Zn 0.1730 0.4917 0.8091
O1 O 0.0065 0.6694 0.4696
O2 O 0.0398 0.2659 0.3012
O3 O 0.0445 0.7757 0.2048
O4 O 0.0487 0.1148 0.2947
O5 O 0.0610 0.2011 0.0054
O6 O 0.0649 0.6346 0.1795
O7 O 0.0687 0.4518 0.2639
O8 O 0.0925 0.8829 0.6655
O9 O 0.0991 0.3880 0.6967
O10 O 0.1161 0.7101 0.7704
O11 O 0.1260 0.5647 0.8451
O12 O 0.1297 0.6085 0.5242
O13 O 0.1871 0.4607 0.0306
O14 O 0.2231 0.4612 0.3542
O15 O 0.2227 0.6032 0.2211
O16 O 0.2689 0.7127 0.7256
# **DFT formation energy**: -15.4 eV/f.u.


[5]
# PBE+U Na2V2ZnO7, relaxed
data_Na2V2ZnO7
_cell_length_a 8.405
_cell_length_b 8.405
_cell_length_c 5.192
_cell_angle_alpha 90.00
_cell_angle_beta 90.00
_cell_angle_gamma 90.00
_space_group_name_H-M_alt 'P -4 21 m'
_space_group_IT_number 113
loop_
_space_group_symop_operation_xyz
'x,y,z'
'y,-x,-z'
'-x,-y,z'
'-y,x,-z'
'x+1/2,-y+1/2,-z'
'y+1/2,x+1/2,z'
'-x+1/2,y+1/2,-z'
'-y+1/2,-x+1/2,z'
loop_
_atom_site_label
_atom_site_type_symbol
_atom_site_fract_x
_atom_site_fract_y
_atom_site_fract_z
Na1 Na 0.165 0.335 0.492
V1 V 0.145 0.645 0.923
Zn1 Zn 0.000 0.000 0.000
O1 O 0.000 0.500 0.798
O2 O 0.095 0.829 0.794
O3 O 0.148 0.648 0.246
# **DFT formation energy**: -27.3 eV/f.u.


[6]
# PBE+U Na2W3O9, relaxed
data_Na2W3O9
_cell_length_a 5.5586
_cell_length_b 5.5586
_cell_length_c 6.8055
_cell_angle_alpha 90.00
_cell_angle_beta 90.00
_cell_angle_gamma 120.00
_space_group_name_H-M_alt 'P -3 m 1'
_space_group_IT_number 164
_space_group_name_Hall '-P 3 2"'
loop_
_atom_site_label
_atom_site_type_symbol
_atom_site_fract_x
_atom_site_fract_y
_atom_site_fract_z
Na1 Na 0.3333 0.6667 0.1678
W1 W 0.0000 0.0000 0.0000
W2 W 0.3333 0.6667 0.6616
O1 O 0.0000 0.5000 0.5000
O2 O 0.1674 0.3348 0.8378
# **DFT formation energy**: -30.3 eV/f.u.


[7]
# PBE+U Na3W4O12, relaxed
data_Na3W4O12
_cell_length_a 7.881
_cell_length_b 7.881
_cell_length_c 7.881
_cell_angle_alpha 90.00
_cell_angle_beta 90.00
_cell_angle_gamma 90.00
_space_group_name_H-M_alt 'I m -3 m'
_space_group_IT_number 229
_space_group_name_Hall '-I 4 2 3'
loop_
_atom_site_label
_atom_site_type_symbol
_atom_site_fract_x
_atom_site_fract_y
_atom_site_fract_z
Na1 Na 0.000 0.000 0.500
W1 W 0.250 0.250 0.250
O1 O 0.000 0.253 0.253
# **DFT formation energy**: -40.8 eV/f.u.
# **Relative energy among the computed polymorphs**: 15 meV/atom


[8]
# PBE+U Na5W14O42, relaxed
data_Na5W14O42
_cell_length_a 5.503
_cell_length_b 7.779
_cell_length_c 19.831
_cell_angle_alpha 101.31
_cell_angle_beta 97.97
_cell_angle_gamma 90.00
_space_group_name_H-M_alt 'P 1'
_space_group_IT_number 1
loop_
_space_group_symop_operation_xyz
'x,y,z'
loop_
_atom_site_label
_atom_site_type_symbol
_atom_site_fract_x
_atom_site_fract_y
_atom_site_fract_z
Na1 Na 0.000 0.000 0.000
Na2 Na 0.135 0.637 0.285
Na3 Na 0.283 0.783 0.573
Na4 Na 0.421 0.425 0.855
Na5 Na 0.708 0.209 0.429
W1 W 0.065 0.321 0.142
W2 W 0.065 0.821 0.142
W3 W 0.207 0.963 0.428
W4 W 0.209 0.463 0.428
W5 W 0.350 0.106 0.714
W6 W 0.352 0.606 0.714
W7 W 0.494 0.748 0.000
W8 W 0.495 0.250 0.000
W9 W 0.636 0.391 0.284
W10 W 0.636 0.892 0.283
W11 W 0.779 0.035 0.573
W12 W 0.781 0.533 0.573
W13 W 0.921 0.174 0.856
W14 W 0.922 0.677 0.856
O1 O 0.064 0.571 0.143
O2 O 0.066 0.066 0.641
O3 O 0.066 0.071 0.141
O4 O 0.070 0.572 0.641
O5 O 0.137 0.144 0.786
O6 O 0.139 0.639 0.786
O7 O 0.206 0.713 0.928
O8 O 0.207 0.213 0.428
O9 O 0.209 0.212 0.928
O10 O 0.210 0.713 0.428
O11 O 0.276 0.282 0.070
O12 O 0.278 0.787 0.070
O13 O 0.349 0.853 0.214
O14 O 0.349 0.855 0.712
O15 O 0.350 0.356 0.715
O16 O 0.350 0.361 0.214
O17 O 0.423 0.427 0.357
O18 O 0.424 0.930 0.357
O19 O 0.491 0.999 0.500
O20 O 0.493 0.499 0.500
O21 O 0.494 0.498 0.998
O22 O 0.494 0.999 0.999
O23 O 0.561 0.066 0.642
O24 O 0.566 0.573 0.642
O25 O 0.633 0.145 0.786
O26 O 0.635 0.638 0.786
O27 O 0.636 0.642 0.285
O28 O 0.639 0.143 0.286
O29 O 0.705 0.711 0.927
O30 O 0.709 0.213 0.928
O31 O 0.778 0.283 0.570
O32 O 0.779 0.784 0.571
O33 O 0.781 0.282 0.071
O34 O 0.782 0.788 0.070
O35 O 0.854 0.854 0.214
O36 O 0.855 0.360 0.215
O37 O 0.922 0.927 0.858
O38 O 0.923 0.429 0.357
O39 O 0.924 0.426 0.856
O40 O 0.924 0.927 0.356
O41 O 0.990 0.998 0.499
O42 O 0.993 0.497 0.499
# **DFT formation energy**: -134.2 eV/f.u.
# **Relative energy among the computed polymorphs**: 0 meV/atom


no.,E (MP2020) (eV/atom),total magnetization (μB per formula unit),volume (Å³ per cell)
1,-7.288,0.00,54
2,-8.415,5.00,481
3,-7.938,1.00,1678
4,-6.700,0.00,2498
5,-6.997,0.00,367
6,-8.309,2.00,182
7,-8.210,3.00,489
8,-8.690,1.46,824